The following is a DFT calculation (PBE) of crystalline NaMg14Fe at its relaxed geometry.

Cell: 6.3991 6.3991 9.9859 Å, 90.00 90.00 120.00°
Closest atoms and distances in Å follow each position.
Fractional coordinates of all 16 atoms:
Na 0.1667 0.3333 0.6250  12 Mg 3.20-3.22
Mg 0.1596 0.8298 0.1250  10 Mg 2.99-3.27, 2 Fe 3.20
Mg 0.1741 0.8371 0.6250  10 Mg 3.09-3.27, 2 Na 3.20
Mg 0.6702 0.3404 0.1250  10 Mg 2.99-3.27, 2 Fe 3.20
Mg 0.6629 0.3259 0.6250  10 Mg 3.09-3.27, 2 Na 3.20
Mg 0.6702 0.8298 0.1250  10 Mg 2.99-3.27, 2 Fe 3.20
Mg 0.6629 0.8371 0.6250  10 Mg 3.09-3.27, 2 Na 3.20
Mg 0.3266 0.1734 0.3556  1 Fe 2.91, 6 Mg 2.99-3.21, 1 Na 3.22
Mg 0.3266 0.1734 0.8944  1 Fe 2.91, 6 Mg 2.99-3.21, 1 Na 3.22
Mg 0.3266 0.6531 0.3556  1 Fe 2.91, 6 Mg 2.99-3.21, 1 Na 3.22
Mg 0.3266 0.6531 0.8944  1 Fe 2.91, 6 Mg 2.99-3.21, 1 Na 3.22
Mg 0.8469 0.1734 0.3556  1 Fe 2.91, 6 Mg 2.99-3.21, 1 Na 3.22
Mg 0.8469 0.1734 0.8944  1 Fe 2.91, 6 Mg 2.99-3.21, 1 Na 3.22
Mg 0.8333 0.6667 0.3804  12 Mg 3.09-3.21
Mg 0.8333 0.6667 0.8696  12 Mg 3.09-3.21
Fe 0.1667 0.3333 0.1250  12 Mg 2.91-3.20

Calculated values
ΔE_f ... 2.4 eV/f.u.
E above lowest polymorph ... 0 meV/atom
Theoretical density ... 1.965 g/cm3
Spin magnetization ... 0.00 μB per formula unit
Space-group type ... P-6m2 (187)

***

The following is a DFT calculation (PBE) of crystalline La3Te4 at its relaxed geometry.

Cell: 8.3884 8.3884 8.3884 Å, 109.47 109.47 109.47°
Closest atoms and distances in Å follow each position.
Fractional coordinates of all 14 atoms:
La 0.8750 0.1250 0.7500  8 Te 3.28-3.43
La 0.3750 0.2500 0.6250  8 Te 3.28-3.43
La 0.1250 0.7500 0.8750  8 Te 3.28-3.43
La 0.7500 0.8750 0.1250  8 Te 3.28-3.43
La 0.2500 0.6250 0.3750  8 Te 3.28-3.43
La 0.6250 0.3750 0.2500  8 Te 3.28-3.43
Te 0.6524 0.6524 0.6524  6 La 3.28-3.43
Te 0.5000 0.0000 0.3476  6 La 3.28-3.43
Te 0.0000 0.3476 0.5000  6 La 3.28-3.43
Te 0.3476 0.5000 0.0000  6 La 3.28-3.43
Te 0.0000 0.8476 0.5000  6 La 3.28-3.43
Te 0.8476 0.5000 0.0000  6 La 3.28-3.43
Te 0.1524 0.1524 0.1524  6 La 3.28-3.43
Te 0.5000 0.0000 0.8476  6 La 3.28-3.43

Calculated values
ΔE_f ... -12.9 eV/f.u.
Theoretical density ... 6.776 g/cm3
Space-group type ... I-43d (220)

***

The following is a DFT calculation (PBE) of crystalline BaSi2 at its relaxed geometry.

Cell: 4.0928 4.0928 5.3629 Å, 90.00 90.00 120.00°
Closest atoms and distances in Å follow each position.
Fractional coordinates of all 3 atoms:
Ba 0.0000 0.0000 0.0000  6 Si 3.31
Si 0.6667 0.3333 0.4333  3 Si 2.47
Si 0.3333 0.6667 0.5667  3 Si 2.47

Calculated values
ΔE_f ... -0.9 eV/f.u.
Theoretical density ... 4.130 g/cm3
Space-group type ... P-3m1 (164)

***

The following is a DFT calculation (PBE) of crystalline MgHgSb2O6 at its relaxed geometry.

Cell: 5.4146 5.8723 5.8718 Å, 99.12 85.07 122.84°
Closest atoms and distances in Å follow each position.
Fractional coordinates of all 10 atoms:
Mg 0.0000 0.6865 0.1182  4 O 2.09-2.17
Hg 0.9999 0.0745 0.9574  3 O 2.53-2.64, 1 Mg 2.60
Sb 0.3536 0.6690 0.5263  6 O 2.00-2.10
Sb 0.6465 0.3155 0.5263  6 O 2.00-2.10
O 0.0000 0.5835 0.7460  2 Sb 2.08, 1 Mg 2.17
O 0.0000 0.4111 0.3128  2 Sb 2.05, 1 Mg 2.12
O 0.3830 0.4169 0.7077  2 Sb 2.00-2.03
O 0.6319 0.5768 0.3300  2 Sb 2.07-2.10, 1 Mg 2.09
O 0.3680 0.9449 0.3301  2 Sb 2.07-2.10, 1 Mg 2.09
O 0.6170 0.0339 0.7077  2 Sb 2.00-2.03

Calculated values
ΔE_f ... -17.7 eV/f.u.
E above lowest polymorph ... 70 meV/atom
Theoretical density ... 6.051 g/cm3
Spin magnetization ... 0.00 μB per formula unit
Space-group type ... Cm (8)

***

The following is a DFT calculation (PBE) of crystalline LiCu4P3O12 at its relaxed geometry.

Cell: 6.0255 10.2560 14.3828 Å, 90.00 90.00 90.00°
Closest atoms and distances in Å follow each position.
Fractional coordinates of all 80 atoms:
Li 0.0628 0.7270 0.2500  5 O 1.98-2.14
Li 0.4372 0.2270 0.7500  5 O 1.98-2.14
Li 0.5628 0.7730 0.2500  5 O 1.98-2.14
Li 0.9372 0.2730 0.7500  5 O 1.98-2.14
Cu 0.0530 0.8488 0.6335  4 O 1.90-1.99
Cu 0.0530 0.8488 0.8665  4 O 1.90-1.99
Cu 0.1459 0.4411 0.5858  2 O 1.94
Cu 0.1459 0.4411 0.9142  2 O 1.94
Cu 0.3541 0.9411 0.0858  2 O 1.94
Cu 0.3541 0.9411 0.4142  2 O 1.94
Cu 0.4470 0.3488 0.1335  4 O 1.90-1.99
Cu 0.4470 0.3488 0.3665  4 O 1.90-1.99
Cu 0.5530 0.6512 0.6335  4 O 1.90-1.99
Cu 0.5530 0.6512 0.8665  4 O 1.90-1.99
Cu 0.6459 0.0589 0.5858  2 O 1.94
Cu 0.6459 0.0589 0.9142  2 O 1.94
Cu 0.8541 0.5589 0.0858  2 O 1.94
Cu 0.8541 0.5589 0.4142  2 O 1.94
Cu 0.9470 0.1512 0.1335  4 O 1.90-1.99
Cu 0.9470 0.1512 0.3665  4 O 1.90-1.99
P 0.0201 0.4005 0.2500  4 O 1.53-1.60
P 0.1346 0.1338 0.5727  4 O 1.53-1.60
P 0.1346 0.1338 0.9273  4 O 1.53-1.60
P 0.3654 0.6338 0.0727  4 O 1.53-1.60
P 0.3654 0.6338 0.4273  4 O 1.53-1.60
P 0.4799 0.9005 0.7500  4 O 1.53-1.60
P 0.5201 0.0995 0.2500  4 O 1.53-1.60
P 0.6346 0.3662 0.5727  4 O 1.53-1.60
P 0.6346 0.3662 0.9273  4 O 1.53-1.60
P 0.8654 0.8662 0.0727  4 O 1.53-1.60
P 0.8654 0.8662 0.4273  4 O 1.53-1.60
P 0.9799 0.5995 0.7500  4 O 1.53-1.60
O 0.0418 0.9678 0.1130  1 P 1.60
O 0.0418 0.9678 0.3870  1 P 1.60
O 0.0383 0.2031 0.0125  1 P 1.53
O 0.0383 0.2031 0.4875  1 P 1.53
O 0.0444 0.4553 0.7500  1 P 1.53
O 0.0742 0.6626 0.6603  1 P 1.55
O 0.0742 0.6626 0.8397  1 P 1.55
O 0.1620 0.5452 0.0484  1 P 1.57
O 0.1620 0.5452 0.4516  1 P 1.57
O 0.1865 0.2374 0.6468  1 P 1.54
O 0.1865 0.2374 0.8532  1 P 1.54
O 0.2152 0.8867 0.7500  1 P 1.60
O 0.2848 0.3867 0.2500  1 P 1.60
O 0.3135 0.7374 0.1468  1 P 1.54
O 0.3135 0.7374 0.3532  1 P 1.54
O 0.3380 0.0452 0.5484  1 P 1.57
O 0.3380 0.0452 0.9516  1 P 1.57
O 0.4258 0.1626 0.1603  1 P 1.55
O 0.4258 0.1626 0.3397  1 P 1.55
O 0.4556 0.9553 0.2500  1 P 1.53
O 0.4617 0.7031 0.5125  1 P 1.53
O 0.4617 0.7031 0.9875  1 P 1.53
O 0.4582 0.4678 0.6130  1 P 1.60
O 0.4582 0.4678 0.8870  1 P 1.60
O 0.5418 0.5322 0.1130  1 P 1.60
O 0.5418 0.5322 0.3870  1 P 1.60
O 0.5383 0.2969 0.0125  1 P 1.53
O 0.5383 0.2969 0.4875  1 P 1.53
O 0.5444 0.0447 0.7500  1 P 1.53
O 0.5742 0.8374 0.6603  1 P 1.55
O 0.5742 0.8374 0.8397  1 P 1.55
O 0.6620 0.9548 0.0484  1 P 1.57
O 0.6620 0.9548 0.4516  1 P 1.57
O 0.6865 0.2626 0.6468  1 P 1.54
O 0.6865 0.2626 0.8532  1 P 1.54
O 0.7152 0.6133 0.7500  1 P 1.60
O 0.7848 0.1133 0.2500  1 P 1.60
O 0.8135 0.7626 0.1468  1 P 1.54
O 0.8135 0.7626 0.3532  1 P 1.54
O 0.8380 0.4548 0.5484  1 P 1.57
O 0.8380 0.4548 0.9516  1 P 1.57
O 0.9258 0.3374 0.1603  1 P 1.55
O 0.9258 0.3374 0.3397  1 P 1.55
O 0.9556 0.5447 0.2500  1 P 1.53
O 0.9617 0.7969 0.5125  1 P 1.53
O 0.9617 0.7969 0.9875  1 P 1.53
O 0.9582 0.0322 0.6130  1 P 1.60
O 0.9582 0.0322 0.8870  1 P 1.60

Calculated values
ΔE_f ... -39.1 eV/f.u.
E above lowest polymorph ... 1 meV/atom
Theoretical density ... 4.081 g/cm3
Spin magnetization ... 1.66 μB per formula unit
Space-group type ... Pnma (62)

***

Question: Which value of ΔE_f does entry 5 give?
Answer: -39.1 eV/f.u.